No. 1
48
Lattice="7.741 -3.874 0.000 7.741 3.874 0.000 -3.875 0.000 12.139" Properties=species:S:1:pos:R:3 comment="Sr8Pr4Cu9Hg3O24, relaxed, DFT r²SCAN" formation_energy_ev_per_atom=-2.021 pbc="T T T"
Sr 3.908 1.979 3.429
Sr 3.906 1.981 8.711
Sr 7.700 1.981 3.428
Sr 7.698 1.979 8.710
Sr 3.908 -1.979 3.429
Sr 3.906 -1.981 8.711
Sr 7.700 -1.981 3.428
Sr 7.698 -1.979 8.710
Pr 3.870 1.937 0.000
Pr 7.741 1.930 0.000
Pr 3.870 -1.937 0.000
Pr 7.741 -1.930 0.000
Cu -1.937 0.000 6.069
Cu -1.938 0.000 10.496
Cu 1.942 0.000 1.685
Cu 1.938 0.000 10.451
Cu 5.803 0.000 1.682
Cu 5.803 0.000 10.456
Cu 9.669 0.000 1.688
Cu 9.664 0.000 10.454
Cu 13.545 0.000 1.643
Hg 1.925 0.000 6.069
Hg 5.803 0.000 6.069
Hg 9.682 0.000 6.069
O -0.002 0.000 1.598
O -1.939 0.000 7.889
O 1.930 1.937 10.546
O 5.804 1.944 1.599
O 1.929 0.000 4.042
O -0.005 0.000 10.539
O 3.875 0.000 1.589
O 1.927 0.000 8.097
O 5.803 1.944 10.540
O 9.677 1.937 1.593
O 5.803 0.000 4.042
O 3.873 0.000 10.549
O 7.734 0.000 1.590
O 5.804 0.000 8.096
O 1.930 -1.937 10.546
O 5.804 -1.944 1.599
O 9.679 0.000 4.042
O 7.731 0.000 10.549
O 11.612 0.000 1.600
O 9.677 0.000 8.096
O 5.803 -1.944 10.540
O 9.677 -1.937 1.593
O 13.545 0.000 4.250
O 11.609 0.000 10.541

No. 2
54
Lattice="8.066 0.000 0.000 0.000 5.993 0.000 -0.391 0.000 18.505" Properties=species:S:1:pos:R:3 comment="Ba6Y2Fe4O15, relaxed, DFT r²SCAN" formation_energy_ev_per_atom=-2.689 pbc="T T T"
Ba -0.098 1.010 4.626
Ba 7.838 1.519 10.680
Ba -0.357 1.519 17.078
Ba 8.033 4.474 1.427
Ba -0.162 4.474 7.826
Ba -0.293 4.983 13.879
Ba 3.476 1.497 16.850
Ba 3.671 4.496 7.597
Ba 3.936 1.305 4.626
Ba 3.740 4.688 13.879
Ba 4.005 1.497 10.908
Ba 4.200 4.496 1.655
Y 2.013 1.486 1.675
Y 1.818 4.507 10.928
Y 5.858 1.486 7.577
Y 5.663 4.507 16.830
Fe 1.881 1.479 8.140
Fe 1.686 4.514 17.393
Fe 1.883 1.654 13.592
Fe 2.078 4.339 4.339
Fe 5.598 1.654 14.166
Fe 5.793 4.339 4.914
Fe 5.990 1.479 1.112
Fe 5.795 4.514 10.365
O 0.073 1.540 7.609
O -0.122 4.453 16.862
O 1.245 0.951 15.158
O 1.440 5.042 5.905
O 1.727 2.682 3.562
O 1.532 3.311 12.814
O 1.749 0.330 12.250
O 1.944 5.663 2.997
O 1.759 0.065 18.467
O 1.954 5.928 9.214
O 1.962 2.904 9.394
O 2.158 3.089 0.142
O 3.545 1.592 7.252
O 3.350 4.401 16.504
O 3.740 1.799 13.879
O 3.936 4.194 4.626
O 4.326 1.592 2.001
O 4.131 4.401 11.254
O 5.518 2.904 18.364
O 5.713 3.089 9.111
O 5.722 0.065 9.291
O 5.917 5.928 0.039
O 5.732 0.330 15.508
O 5.927 5.663 6.255
O 6.144 2.682 5.691
O 5.949 3.311 14.944
O 6.236 0.951 12.600
O 6.431 5.042 3.348
O 7.798 1.540 1.643
O 7.603 4.453 10.896

Number 1: VASP energy -15.101 eV per atom. Number 2: VASP energy -15.536 eV per atom.